1.
Na2Zn2O3 | PBE | optimized geometry

Calculated values
The mass density comes out at 4.0 g/cm3. The calculation puts the formation energy at -11.95 eV per formula unit. The value obtained for the energy relative to the lowest polymorph listed for this composition is 4 meV/atom.

Cell lengths 5.907, 5.966, 6.036 Å; angles 90.00, 118.34, 90.00 degrees
Fractional coordinates of all 14 atoms:
Na (0.136, 0.155, 0.404)
Na (0.136, 0.345, 0.904)
Na (0.864, 0.655, 0.096)
Na (0.864, 0.845, 0.596)
Zn (0.341, 0.622, 0.580)
Zn (0.341, 0.878, 0.080)
Zn (0.659, 0.122, 0.920)
Zn (0.659, 0.378, 0.420)
O (0.000, 0.000, 0.000)
O (0.000, 0.500, 0.500)
O (0.358, 0.590, 0.246)
O (0.358, 0.910, 0.746)
O (0.642, 0.090, 0.254)
O (0.642, 0.410, 0.754)

***

2.
Na2Zn2O3 | PBE | optimized geometry

Calculated values
The value obtained for the piezoelectric modulus e_max is 0.0 C/m². The mass density comes out at 4.0 g/cm3. The calculation puts the formation energy at -11.98 eV per formula unit. The value obtained for the energy relative to the lowest polymorph listed for this composition is 0 meV/atom.

Cell lengths 6.264, 6.264, 9.544 Å; angles 90.00, 90.00, 90.00 degrees
Fractional coordinates of all 28 atoms:
Na (0.034, 0.246, 0.355)
Na (0.246, 0.034, 0.645)
Na (0.254, 0.534, 0.105)
Na (0.466, 0.746, 0.395)
Na (0.534, 0.254, 0.895)
Na (0.746, 0.466, 0.605)
Na (0.754, 0.966, 0.145)
Na (0.966, 0.754, 0.855)
Zn (0.044, 0.243, 0.885)
Zn (0.243, 0.044, 0.115)
Zn (0.257, 0.544, 0.635)
Zn (0.456, 0.743, 0.865)
Zn (0.544, 0.257, 0.365)
Zn (0.743, 0.456, 0.135)
Zn (0.757, 0.956, 0.615)
Zn (0.956, 0.757, 0.385)
O (0.014, 0.742, 0.592)
O (0.177, 0.823, 0.250)
O (0.242, 0.486, 0.842)
O (0.258, 0.986, 0.908)
O (0.323, 0.323, 0.500)
O (0.486, 0.242, 0.158)
O (0.514, 0.758, 0.658)
O (0.677, 0.677, 0.000)
O (0.742, 0.014, 0.408)
O (0.758, 0.514, 0.342)
O (0.823, 0.177, 0.750)
O (0.986, 0.258, 0.092)

***

3.
Na2Zr2O5 | PBE | optimized geometry

Calculated values
As for the magnetization: 0.0 μB/f.u. The mass density comes out at 3.9 g/cm3. The calculation puts the formation energy at -27.19 eV per formula unit.

Cell lengths 4.040, 4.040, 8.140 Å; angles 90.00, 90.00, 90.00 degrees
Fractional coordinates of all 9 atoms:
Na (0.000, 0.000, 0.000)
Na (0.000, 0.000, 0.500)
Zr (0.500, 0.500, 0.250)
Zr (0.500, 0.500, 0.750)
O (0.000, 0.500, 0.196)
O (0.000, 0.500, 0.804)
O (0.500, 0.000, 0.196)
O (0.500, 0.000, 0.804)
O (0.500, 0.500, 0.500)

***

4.
Na3Os | PBE | optimized geometry

Calculated values
As for the magnetization: 1.8 μB/f.u. The mass density comes out at 4.5 g/cm3. The calculation puts the formation energy at 4.52 eV per formula unit. The value obtained for the energy relative to the lowest polymorph listed for this composition is 2 meV/atom.

Cell lengths 6.441, 6.441, 5.283 Å; angles 90.00, 90.00, 120.00 degrees
Fractional coordinates of all 8 atoms:
Na (0.178, 0.356, 0.250)
Na (0.178, 0.822, 0.250)
Na (0.356, 0.178, 0.750)
Na (0.644, 0.822, 0.250)
Na (0.822, 0.178, 0.750)
Na (0.822, 0.644, 0.750)
Os (0.333, 0.667, 0.750)
Os (0.667, 0.333, 0.250)

***

5.
Na3Os | PBE | optimized geometry

Calculated values
As for the magnetization: 1.6 μB/f.u. The mass density comes out at 4.6 g/cm3. The calculation puts the formation energy at 4.52 eV per formula unit. The value obtained for the energy relative to the lowest polymorph listed for this composition is 0 meV/atom.

Cell lengths 5.088, 5.088, 5.088 Å; angles 60.00, 60.00, 60.00 degrees
Fractional coordinates of all 4 atoms:
Na (0.000, 0.000, 0.000)
Na (0.250, 0.250, 0.250)
Na (0.750, 0.750, 0.750)
Os (0.500, 0.500, 0.500)

***

6.
Na3Os | PBE | optimized geometry

Calculated values
As for the magnetization: 1.9 μB/f.u. The mass density comes out at 4.0 g/cm3. The calculation puts the formation energy at 4.71 eV per formula unit. The value obtained for the energy relative to the lowest polymorph listed for this composition is 49 meV/atom.

Cell lengths 9.342, 9.342, 4.950 Å; angles 90.00, 90.00, 90.00 degrees
Fractional coordinates of all 16 atoms:
Na (0.033, 0.297, 0.000)
Na (0.123, 0.877, 0.500)
Na (0.203, 0.533, 0.500)
Na (0.297, 0.033, 0.000)
Na (0.377, 0.377, 0.000)
Na (0.467, 0.797, 0.500)
Na (0.533, 0.203, 0.500)
Na (0.623, 0.623, 0.000)
Na (0.703, 0.967, 0.000)
Na (0.797, 0.467, 0.500)
Na (0.877, 0.123, 0.500)
Na (0.967, 0.703, 0.000)
Os (0.206, 0.206, 0.500)
Os (0.294, 0.706, 0.000)
Os (0.706, 0.294, 0.000)
Os (0.794, 0.794, 0.500)

***

Q: Which of these has the highest mass density?
A: number 5